(1)
A plane-wave DFT calculation with r2SCAN was carried out for crystalline BiS2 at its relaxed geometry.

Symmetry ... No. 12
Crystal system ... monoclinic

abc: 4.044 8.189 9.555
angles: 81.73 77.76 75.71
Positions (direct):
Bi  0.300  0.302  0.099
Bi  0.391  0.823  0.394
Bi  0.609  0.177  0.606
Bi  0.700  0.698  0.901
S  0.342  0.471  0.844
S  0.789  0.073  0.350
S  0.922  0.617  0.538
S  0.211  0.927  0.650
S  0.035  0.878  0.051
S  0.078  0.383  0.462
S  0.658  0.529  0.155
S  0.965  0.122  0.949

---

(2)
A plane-wave DFT calculation with r2SCAN was carried out for crystalline PrAl8Co2 at its relaxed geometry.

Symmetry ... No. 55
Crystal system ... orthorhombic

abc: 3.990 12.387 14.303
angles: 90.00 90.00 90.00
Positions (direct):
Pr  0.000  0.659  0.681
Pr  0.000  0.159  0.819
Pr  0.000  0.341  0.319
Pr  0.000  0.841  0.181
Al  0.500  0.169  0.993
Al  0.000  0.596  0.247
Al  0.500  0.764  0.829
Al  0.500  0.831  0.007
Al  0.500  0.546  0.822
Al  0.000  0.000  0.000
Al  0.500  0.973  0.868
Al  0.500  0.454  0.178
Al  0.500  0.842  0.620
Al  0.500  0.736  0.329
Al  0.500  0.954  0.322
Al  0.500  0.027  0.132
Al  0.500  0.236  0.171
Al  0.500  0.669  0.507
Al  0.000  0.404  0.753
Al  0.000  0.096  0.253
Al  0.500  0.527  0.368
Al  0.500  0.158  0.380
Al  0.500  0.658  0.120
Al  0.500  0.264  0.671
Al  0.500  0.046  0.678
Al  0.500  0.331  0.493
Al  0.000  0.159  0.544
Al  0.000  0.500  0.500
Al  0.000  0.904  0.747
Al  0.000  0.841  0.456
Al  0.500  0.342  0.880
Al  0.500  0.000  0.500
Al  0.500  0.473  0.632
Al  0.000  0.659  0.956
Al  0.500  0.500  0.000
Al  0.000  0.341  0.044
Co  0.000  0.965  0.595
Co  0.000  0.465  0.905
Co  0.000  0.035  0.405
Co  0.000  0.152  0.096
Co  0.000  0.535  0.095
Co  0.000  0.848  0.904
Co  0.000  0.348  0.596
Co  0.000  0.652  0.404

---

(3)
A plane-wave DFT calculation with r2SCAN was carried out for crystalline Tb3Sn7 at its relaxed geometry.

Symmetry ... No. 65
Crystal system ... orthorhombic

abc: 4.386 4.420 13.626
angles: 90.00 99.26 90.00
Positions (direct):
Tb  0.000  0.500  0.000
Tb  0.313  0.000  0.625
Tb  0.687  0.000  0.375
Sn  0.500  0.000  0.000
Sn  0.404  0.500  0.808
Sn  0.596  0.500  0.192
Sn  0.096  0.000  0.192
Sn  0.904  0.000  0.808
Sn  0.213  0.500  0.426
Sn  0.787  0.500  0.574

---

(4)
A plane-wave DFT calculation with r2SCAN was carried out for crystalline La2H5 at its relaxed geometry.

Symmetry ... No. 141
Crystal system ... tetragonal

abc: 5.583 5.583 6.907
angles: 113.84 113.84 90.00
Positions (direct):
La  0.004  0.504  0.008
La  0.246  0.246  0.492
La  0.496  0.996  0.992
La  0.754  0.754  0.508
H  0.625  0.606  0.750
H  0.125  0.144  0.750
H  0.125  0.606  0.750
H  0.625  0.144  0.750
H  0.394  0.375  0.250
H  0.856  0.875  0.250
H  0.394  0.875  0.250
H  0.856  0.375  0.250
H  0.250  0.750  0.500
H  0.000  0.000  0.000

---

(5)
A plane-wave DFT calculation with r2SCAN was carried out for crystalline Np3Se4 at its relaxed geometry.

Symmetry ... No. 24
Crystal system ... orthorhombic

abc: 7.690 7.690 7.690
angles: 109.44 109.63 109.34
Positions (direct):
Np  0.250  0.120  0.870
Np  0.125  0.875  0.250
Np  0.750  0.380  0.630
Np  0.879  0.250  0.129
Np  0.621  0.750  0.371
Np  0.375  0.625  0.750
Se  0.500  0.000  0.649
Se  0.000  0.648  0.500
Se  0.649  0.500  0.000
Se  0.000  0.149  0.501
Se  0.851  0.852  0.851
Se  0.352  0.351  0.352
Se  0.148  0.500  0.999
Se  0.500  0.000  0.148

---

(6)
A plane-wave DFT calculation with r2SCAN was carried out for crystalline MgZn2Sb2 at its relaxed geometry.

Symmetry ... No. 164
Crystal system ... trigonal

abc: 4.337 4.337 7.221
angles: 90.00 90.00 120.00
Positions (direct):
Mg  0.000  0.000  0.000
Zn  0.333  0.667  0.619
Zn  0.667  0.333  0.381
Sb  0.333  0.667  0.238
Sb  0.667  0.333  0.762

---

(7)
A plane-wave DFT calculation with r2SCAN was carried out for crystalline Cs2DyCl5 at its relaxed geometry.

Symmetry ... No. 62
Crystal system ... orthorhombic

abc: 7.489 9.560 15.322
angles: 90.00 90.00 90.00
Positions (direct):
Cs  0.250  0.474  0.289
Cs  0.750  0.526  0.711
Cs  0.250  0.974  0.211
Cs  0.750  0.026  0.789
Cs  0.750  0.334  0.084
Cs  0.250  0.666  0.916
Cs  0.750  0.834  0.416
Cs  0.250  0.166  0.584
Dy  0.750  0.320  0.434
Dy  0.250  0.680  0.566
Dy  0.750  0.820  0.066
Dy  0.250  0.180  0.934
Cl  0.500  0.500  0.500
Cl  0.000  0.500  0.500
Cl  0.000  0.000  0.000
Cl  0.500  0.000  0.000
Cl  0.006  0.164  0.381
Cl  0.506  0.836  0.619
Cl  0.494  0.664  0.119
Cl  0.994  0.336  0.881
Cl  0.994  0.836  0.619
Cl  0.494  0.164  0.381
Cl  0.506  0.336  0.881
Cl  0.006  0.664  0.119
Cl  0.250  0.290  0.092
Cl  0.750  0.710  0.908
Cl  0.250  0.790  0.408
Cl  0.750  0.210  0.592
Cl  0.750  0.482  0.298
Cl  0.250  0.518  0.702
Cl  0.750  0.982  0.202
Cl  0.250  0.018  0.798

---

(8)
A plane-wave DFT calculation with r2SCAN was carried out for crystalline Zr2SbP at its relaxed geometry.

Symmetry ... No. 194
Crystal system ... hexagonal

abc: 3.845 3.845 13.324
angles: 90.00 90.00 120.00
Positions (direct):
Zr  0.667  0.333  0.603
Zr  0.333  0.667  0.397
Zr  0.333  0.667  0.103
Zr  0.667  0.333  0.897
Sb  0.667  0.333  0.250
Sb  0.333  0.667  0.750
P  0.000  0.000  0.500
P  0.000  0.000  0.000

---

(9)
A plane-wave DFT calculation with r2SCAN was carried out for crystalline KMgH9C2O10 at its relaxed geometry.

Symmetry ... No. 2
Crystal system ... triclinic

abc: 5.275 6.649 6.983
angles: 116.81 90.31 107.34
Positions (direct):
K  0.000  0.000  0.000
Mg  0.500  0.500  0.500
H  0.000  0.500  0.000
H  0.806  0.797  0.402
H  0.993  0.330  0.573
H  0.638  0.254  0.124
H  0.362  0.746  0.876
H  0.007  0.670  0.427
H  0.423  0.918  0.763
H  0.194  0.203  0.598
H  0.577  0.082  0.237
C  0.373  0.696  0.204
C  0.627  0.304  0.796
O  0.802  0.327  0.948
O  0.390  0.157  0.754
O  0.610  0.843  0.246
O  0.709  0.429  0.699
O  0.862  0.730  0.490
O  0.138  0.270  0.510
O  0.539  0.216  0.230
O  0.461  0.784  0.770
O  0.198  0.673  0.052
O  0.291  0.571  0.301

---

(10)
A plane-wave DFT calculation with r2SCAN was carried out for crystalline Li2InSn at its relaxed geometry.

Symmetry ... No. 225
Crystal system ... cubic

abc: 4.800 4.800 4.800
angles: 60.00 60.00 60.00
Positions (direct):
Li  0.000  0.000  0.000
Li  0.500  0.500  0.500
In  0.250  0.250  0.250
Sn  0.750  0.750  0.750

---

(11)
A plane-wave DFT calculation with r2SCAN was carried out for crystalline LaAu3F12 at its relaxed geometry.

Symmetry ... No. 167
Crystal system ... trigonal

abc: 8.180 8.180 8.180
angles: 80.97 80.97 80.97
Positions (direct):
La  0.250  0.250  0.250
La  0.750  0.750  0.750
Au  0.163  0.337  0.750
Au  0.250  0.837  0.663
Au  0.663  0.250  0.837
Au  0.837  0.663  0.250
Au  0.337  0.750  0.163
Au  0.750  0.163  0.337
F  0.509  0.200  0.376
F  0.376  0.509  0.200
F  0.200  0.376  0.509
F  0.991  0.124  0.300
F  0.300  0.991  0.124
F  0.124  0.300  0.991
F  0.491  0.800  0.624
F  0.624  0.491  0.800
F  0.022  0.478  0.250
F  0.478  0.250  0.022
F  0.250  0.022  0.478
F  0.978  0.522  0.750
F  0.522  0.750  0.978
F  0.750  0.978  0.522
F  0.657  0.843  0.250
F  0.843  0.250  0.657
F  0.250  0.657  0.843
F  0.343  0.157  0.750
F  0.157  0.750  0.343
F  0.750  0.343  0.157
F  0.876  0.700  0.009
F  0.700  0.009  0.876
F  0.009  0.876  0.700
F  0.800  0.624  0.491

---

(12)
A plane-wave DFT calculation with r2SCAN was carried out for crystalline LuFe6Ge6 at its relaxed geometry.

Symmetry ... No. 191
Crystal system ... hexagonal

abc: 5.086 5.086 8.174
angles: 90.00 90.00 120.00
Positions (direct):
Lu  0.000  0.000  0.000
Fe  0.500  0.000  0.249
Fe  0.500  0.500  0.249
Fe  0.000  0.500  0.249
Fe  0.500  0.000  0.751
Fe  0.500  0.500  0.751
Fe  0.000  0.500  0.751
Ge  0.000  0.000  0.346
Ge  0.000  0.000  0.654
Ge  0.333  0.667  0.500
Ge  0.667  0.333  0.500
Ge  0.333  0.667  0.000
Ge  0.667  0.333  0.000

---

(13)
A plane-wave DFT calculation with r2SCAN was carried out for crystalline K2SbAu at its relaxed geometry.

Symmetry ... No. 63
Crystal system ... orthorhombic

abc: 6.570 6.570 6.539
angles: 90.00 90.00 106.25
Positions (direct):
K  0.836  0.495  0.750
K  0.505  0.164  0.250
K  0.495  0.836  0.750
K  0.164  0.505  0.250
Sb  0.734  0.734  0.250
Sb  0.266  0.266  0.750
Au  0.000  0.000  0.000
Au  0.000  0.000  0.500

---

(14)
A plane-wave DFT calculation with r2SCAN was carried out for crystalline KIn2Ga2 at its relaxed geometry.

Symmetry ... No. 139
Crystal system ... tetragonal

abc: 6.700 6.700 6.700
angles: 139.33 139.33 58.88
Positions (direct):
K  0.000  0.000  0.000
In  0.750  0.250  0.500
In  0.250  0.750  0.500
Ga  0.392  0.392  0.000
Ga  0.608  0.608  0.000

---

(15)
A plane-wave DFT calculation with r2SCAN was carried out for crystalline UFeCo at its relaxed geometry.

Symmetry ... No. 74
Crystal system ... orthorhombic

abc: 4.839 4.839 4.841
angles: 121.63 119.13 89.34
Positions (direct):
U  0.120  0.870  0.250
U  0.880  0.130  0.750
Fe  0.500  0.500  0.000
Fe  0.000  0.500  0.500
Co  0.500  0.500  0.500
Co  0.500  0.000  0.000

---

(16)
A plane-wave DFT calculation with r2SCAN was carried out for crystalline V4O3F9 at its relaxed geometry.

Energy above the most stable polymorph in this dataset ... 1 meV per atom
Symmetry ... No. 1
Crystal system ... triclinic

abc: 5.106 5.276 16.938
angles: 83.31 81.34 61.21
Positions (direct):
V  0.618  0.631  0.125
V  0.154  0.100  0.626
V  0.247  0.219  0.248
V  0.716  0.759  0.751
V  0.896  0.888  0.373
V  0.380  0.403  0.873
V  0.990  0.037  0.005
V  0.507  0.520  0.503
O  0.897  0.307  0.063
O  0.408  0.802  0.560
O  0.343  0.953  0.187
O  0.078  0.074  0.335
O  0.571  0.581  0.835
O  0.393  0.946  0.708
F  0.846  0.828  0.087
F  0.633  0.040  0.288
F  0.357  0.324  0.588
F  0.124  0.536  0.788
F  0.394  0.788  0.035
F  0.396  0.430  0.164
F  0.923  0.909  0.664
F  0.114  0.695  0.464
F  0.156  0.551  0.313
F  0.855  0.429  0.685
F  0.903  0.281  0.535
F  0.597  0.215  0.965
F  0.666  0.664  0.410
F  0.847  0.472  0.215
F  0.665  0.055  0.817
F  0.076  0.702  0.940
F  0.591  0.186  0.441
F  0.158  0.174  0.911

---

(17)
A plane-wave DFT calculation with r2SCAN was carried out for crystalline Ir3Se8 at its relaxed geometry.

Symmetry ... No. 148
Crystal system ... trigonal

abc: 6.023 6.023 6.023
angles: 90.26 90.26 90.26
Positions (direct):
Ir  0.500  0.000  0.500
Ir  0.000  0.500  0.500
Ir  0.500  0.500  0.000
Se  0.384  0.116  0.880
Se  0.116  0.880  0.384
Se  0.880  0.384  0.116
Se  0.374  0.374  0.374
Se  0.626  0.626  0.626
Se  0.120  0.616  0.884
Se  0.884  0.120  0.616
Se  0.616  0.884  0.120

---

These records have magnetic moment values of 0.00, 0.00, 0.00, 0.00, 13.00, 0.00, 0.00, 0.00, 0.00, 0.00, 0.00, 13.51, 0.00, 0.00, 0.00, 5.00, 0.00 μB/f.u., in the order they appear.
These records have energy of formation from the pure elements values of -0.33, -0.45, -0.58, -0.72, -1.89, -0.18, -2.45, -1.28, -1.45, -0.35, -1.98, -0.21, -0.62, -0.22, 0.10, -3.04, -0.36 eV per atom, in the order they appear.